[1]
# BaPd2

BaPd2 after structural relaxation (PBE, Materials Project).

Electronic total energy, eV per cell: -28.02
Density, g cm⁻³: 8.65

Cell: 5.750 5.750 5.750 Å, 60.00 60.00 60.00°
Positions (direct):
Pd: 0.125 0.125 0.625
Ba: 0.750 0.750 0.750
Pd: 0.125 0.625 0.125
Pd: 0.625 0.125 0.125
Pd: 0.125 0.125 0.125
Ba: 0.500 0.500 0.500


[2]
# Sr9Zn4Cu2O14

Sr9Zn4Cu2O14 after structural relaxation (PBE, Materials Project).

Electronic total energy, eV per cell: -160.39
Density, g cm⁻³: 5.04
Total magnetic moment, μB per cell: 0.0

Cell: 11.340 11.340 11.432 Å, 81.52 81.52 18.52°
Positions (direct):
O: 0.803 0.803 0.070
O: 0.197 0.197 0.930
Sr: 0.687 0.687 0.102
Sr: 0.509 0.509 0.192
O: 0.203 0.203 0.269
O: 0.419 0.419 0.094
Sr: 0.314 0.314 0.225
O: 0.810 0.810 0.401
O: 0.912 0.912 0.864
Sr: 0.500 0.500 0.500
Sr: 0.686 0.686 0.775
O: 0.025 0.025 0.650
Sr: 0.694 0.694 0.430
O: 0.088 0.088 0.136
O: 0.406 0.406 0.641
O: 0.975 0.975 0.350
Zn: 0.110 0.110 0.297
Sr: 0.313 0.313 0.898
Cu: 0.106 0.106 0.624
Zn: 0.897 0.897 0.039
O: 0.594 0.594 0.359
Cu: 0.894 0.894 0.376
O: 0.190 0.190 0.599
O: 0.797 0.797 0.731
Sr: 0.491 0.491 0.808
Sr: 0.306 0.306 0.570
Zn: 0.103 0.103 0.961
O: 0.581 0.581 0.906
Zn: 0.890 0.890 0.703


[3]
# Tb4InRh

Tb4InRh after structural relaxation (PBE, Materials Project).

Electronic total energy, eV per cell: -127.60
Density, g cm⁻³: 8.77

Cell: 9.707 9.707 9.707 Å, 60.00 60.00 60.00°
Positions (direct):
Tb: 0.438 0.062 0.438
Tb: 0.810 0.810 0.190
In: 0.418 0.747 0.418
In: 0.747 0.418 0.418
Rh: 0.858 0.858 0.427
Tb: 0.190 0.810 0.190
Rh: 0.858 0.427 0.858
Tb: 0.190 0.190 0.810
Tb: 0.810 0.190 0.810
In: 0.418 0.418 0.747
Tb: 0.650 0.049 0.650
Rh: 0.427 0.858 0.858
Tb: 0.650 0.650 0.049
Tb: 0.650 0.650 0.650
Tb: 0.190 0.810 0.810
Tb: 0.049 0.650 0.650
In: 0.418 0.418 0.418
Tb: 0.062 0.438 0.062
Tb: 0.062 0.438 0.438
Rh: 0.858 0.858 0.858
Tb: 0.438 0.438 0.062
Tb: 0.810 0.190 0.190
Tb: 0.438 0.062 0.062
Tb: 0.062 0.062 0.438


[4]
# H4PbI3N

H4PbI3N after structural relaxation (PBE, Materials Project).

Electronic total energy, eV per cell: -139.12
Offset from the most stable computed form, meV/atom: 0
Density, g cm⁻³: 4.53
Total magnetic moment, μB per cell: 0.0

Cell: 4.830 10.554 17.422 Å, 90.00 90.00 90.00°
Positions (direct):
I: 0.750 0.308 0.785
Pb: 0.750 0.669 0.559
N: 0.250 0.085 0.676
Pb: 0.750 0.169 0.941
I: 0.750 0.023 0.116
N: 0.750 0.915 0.324
N: 0.750 0.415 0.176
I: 0.250 0.342 0.012
H: 0.750 0.978 0.370
H: 0.750 0.478 0.130
I: 0.750 0.158 0.512
I: 0.750 0.658 0.988
Pb: 0.250 0.331 0.441
I: 0.250 0.977 0.884
H: 0.578 0.357 0.174
H: 0.250 0.522 0.870
H: 0.250 0.035 0.727
Pb: 0.250 0.831 0.059
I: 0.250 0.692 0.215
H: 0.250 0.535 0.773
I: 0.250 0.842 0.488
I: 0.750 0.523 0.384
H: 0.250 0.022 0.630
H: 0.422 0.643 0.826
I: 0.250 0.477 0.616
H: 0.922 0.357 0.174
H: 0.750 0.465 0.227
N: 0.250 0.585 0.824
I: 0.250 0.192 0.285
I: 0.750 0.808 0.715
H: 0.422 0.143 0.674
H: 0.750 0.965 0.273
H: 0.922 0.857 0.326
H: 0.078 0.643 0.826
H: 0.078 0.143 0.674
H: 0.578 0.857 0.326


[5]
# Na11Bi5O16

Na11Bi5O16 after structural relaxation (PBE, Materials Project).

Electronic total energy, eV per cell: -310.45
Density, g cm⁻³: 5.82
Total magnetic moment, μB per cell: 1.3

Cell: 9.607 9.607 9.607 Å, 90.00 90.00 90.00°
Positions (direct):
O: 0.978 0.752 0.260
Bi: 0.500 0.000 0.250
Na: 0.750 0.000 0.500
Na: 0.500 0.261 0.500
Na: 0.000 0.000 0.239
Na: 0.500 0.500 0.739
O: 0.748 0.522 0.240
O: 0.260 0.022 0.248
Bi: 0.250 0.250 0.250
O: 0.748 0.478 0.760
Na: 0.250 0.250 0.750
Na: 0.739 0.500 0.500
Na: 0.500 0.739 0.500
Bi: 0.750 0.750 0.250
O: 0.478 0.240 0.252
O: 0.000 0.000 0.500
O: 0.760 0.748 0.478
Na: 0.250 0.750 0.250
O: 0.252 0.478 0.240
Na: 0.000 0.500 0.250
Na: 0.750 0.250 0.250
Na: 0.000 0.239 0.000
Bi: 0.000 0.750 0.500
O: 0.500 0.500 0.000
O: 0.248 0.260 0.022
Na: 0.750 0.750 0.750
O: 0.500 0.000 0.000
Bi: 0.750 0.250 0.750
O: 0.752 0.740 0.022
O: 0.252 0.522 0.760
Na: 0.000 0.000 0.761
O: 0.260 0.978 0.752
Na: 0.239 0.000 0.000
O: 0.248 0.740 0.978
Bi: 0.750 0.500 0.000
O: 0.740 0.978 0.248
O: 0.022 0.752 0.740
O: 0.000 0.500 0.000
O: 0.000 0.500 0.500
O: 0.022 0.248 0.260
Bi: 0.250 0.750 0.750
O: 0.240 0.748 0.522
Bi: 0.250 0.500 0.000
Na: 0.261 0.500 0.500
Bi: 0.000 0.250 0.500
Bi: 0.500 0.000 0.750
Na: 0.250 0.000 0.500
Na: 0.500 0.500 0.261
O: 0.478 0.760 0.748
Na: 0.761 0.000 0.000
O: 0.240 0.252 0.478
Na: 0.500 0.250 0.000
O: 0.752 0.260 0.978
Na: 0.500 0.750 0.000
Na: 0.000 0.500 0.750
O: 0.500 0.500 0.500
O: 0.000 0.000 0.000
O: 0.978 0.248 0.740
O: 0.760 0.252 0.522
Na: 0.000 0.761 0.000
O: 0.500 0.000 0.500
O: 0.740 0.022 0.752
O: 0.522 0.760 0.252
O: 0.522 0.240 0.748